# 1
Sn4CN4: optimized geometry, PBE.

Lattice parameters (Å, degrees): 10.703 3.301 19.772 90.00 90.00 90.00
Positions (direct):
Sn  0.396  0.250  0.439
N  0.766  0.250  0.147
N  0.005  0.750  0.128
Sn  0.104  0.750  0.939
N  0.508  0.750  0.908
N  0.492  0.250  0.092
Sn  0.146  0.250  0.790
N  0.737  0.750  0.926
C  0.875  0.250  0.417
Sn  0.896  0.250  0.061
Sn  0.138  0.250  0.162
Sn  0.354  0.750  0.290
N  0.263  0.250  0.074
N  0.237  0.750  0.574
Sn  0.638  0.250  0.338
Sn  0.422  0.250  0.843
Sn  0.604  0.750  0.561
Sn  0.078  0.750  0.343
Sn  0.922  0.250  0.657
C  0.625  0.750  0.917
Sn  0.362  0.750  0.662
N  0.505  0.750  0.372
C  0.375  0.250  0.083
Sn  0.854  0.750  0.210
N  0.266  0.250  0.353
Sn  0.862  0.750  0.838
N  0.763  0.250  0.426
N  0.995  0.250  0.872
C  0.125  0.750  0.583
N  0.495  0.250  0.628
N  0.992  0.250  0.408
N  0.234  0.750  0.853
N  0.734  0.750  0.647
Sn  0.578  0.750  0.157
N  0.008  0.750  0.592
Sn  0.646  0.250  0.710

Output
volume: 19.41 A^3/atom
raw total energy: -0.2270 Ha/atom
spin magnetization: 0.0 Bohr magnetons per cell
crystal system: orthorhombic



# 2
Hf2AlSi: optimized geometry, PBE.

Lattice parameters (Å, degrees): 5.385 5.385 3.828 90.00 90.00 138.91
Positions (direct):
Si  0.421  0.579  0.000
Hf  0.147  0.853  0.000
Al  0.578  0.422  0.500
Hf  0.854  0.146  0.500

Output
volume: 18.24 A^3/atom
raw total energy: -0.2900 Ha/atom
spin magnetization: 0.0 Bohr magnetons per cell
crystal system: orthorhombic



# 3
Gd4TiSe4O4: optimized geometry, PBE.

Lattice parameters (Å, degrees): 8.205 8.205 9.778 62.89 62.89 26.62
Positions (direct):
Se  0.116  0.116  0.368
Gd  0.475  0.475  0.331
Gd  0.525  0.525  0.669
Se  0.884  0.884  0.632
Ti  0.000  0.000  0.000
Se  0.621  0.621  0.984
O  0.948  0.948  0.221
Gd  0.224  0.224  0.674
O  0.317  0.317  0.410
O  0.683  0.683  0.590
O  0.052  0.052  0.779
Se  0.379  0.379  0.016
Gd  0.776  0.776  0.326

Output
volume: 20.04 A^3/atom
raw total energy: -0.3733 Ha/atom
spin magnetization: 28.0 Bohr magnetons per cell
crystal system: monoclinic



# 4
AlSeBr3N: optimized geometry, PBE.

Lattice parameters (Å, degrees): 10.858 7.685 10.355 66.87 90.00 90.00
Positions (direct):
Br  0.981  0.413  0.207
Br  0.019  0.587  0.793
Br  0.519  0.413  0.707
Al  0.375  0.230  0.652
Se  0.032  0.849  0.122
Al  0.125  0.230  0.152
Br  0.340  0.947  0.848
Br  0.840  0.053  0.652
Se  0.532  0.151  0.378
N  0.046  0.106  0.046
N  0.954  0.894  0.954
N  0.546  0.894  0.454
Se  0.468  0.849  0.622
Br  0.194  0.374  0.556
N  0.454  0.106  0.546
Br  0.694  0.626  0.944
Br  0.306  0.374  0.056
Br  0.806  0.626  0.444
Al  0.875  0.770  0.848
Br  0.481  0.587  0.293
Br  0.160  0.947  0.348
Se  0.968  0.151  0.878
Br  0.660  0.053  0.152
Al  0.625  0.770  0.348

Output
volume: 33.11 A^3/atom
raw total energy: -0.1468 Ha/atom
spin magnetization: 0.0 Bohr magnetons per cell
crystal system: monoclinic



# 5
MgB2P2H8O13: optimized geometry, PBE.

Lattice parameters (Å, degrees): 14.826 7.808 8.345 89.55 90.00 90.00
Positions (direct):
H  0.950  0.548  0.664
B  0.217  0.084  0.561
H  0.633  0.041  0.775
H  0.617  0.359  0.694
O  0.393  0.756  0.354
O  0.129  0.451  0.670
H  0.528  0.854  0.117
O  0.806  0.936  0.855
H  0.342  0.770  0.428
O  0.371  0.451  0.170
H  0.658  0.230  0.572
O  0.197  0.455  0.159
Mg  0.036  0.249  0.700
H  0.383  0.641  0.306
O  0.432  0.567  0.795
H  0.902  0.790  0.991
H  0.883  0.359  0.194
B  0.164  0.583  0.273
H  0.050  0.452  0.336
H  0.550  0.548  0.164
P  0.713  0.567  0.934
H  0.117  0.641  0.806
O  0.282  0.953  0.931
O  0.045  0.242  0.946
Mg  0.964  0.751  0.300
O  0.861  0.932  0.335
B  0.664  0.417  0.227
O  0.513  0.743  0.062
O  0.782  0.047  0.569
O  0.685  0.245  0.294
H  0.158  0.770  0.928
O  0.568  0.433  0.205
H  0.133  0.959  0.725
P  0.287  0.433  0.066
B  0.783  0.916  0.439
H  0.842  0.230  0.072
O  0.139  0.068  0.665
P  0.661  0.065  0.225
O  0.440  0.956  0.802
B  0.717  0.916  0.939
H  0.493  0.755  0.479
O  0.955  0.758  0.054
O  0.487  0.257  0.938
P  0.213  0.433  0.566
O  0.782  0.746  0.515
H  0.402  0.210  0.509
O  0.694  0.936  0.355
B  0.836  0.417  0.727
H  0.551  0.276  0.920
H  0.972  0.854  0.617
O  0.815  0.245  0.794
H  0.507  0.245  0.521
B  0.283  0.084  0.061
P  0.339  0.935  0.775
O  0.284  0.567  0.927
O  0.107  0.756  0.854
O  0.940  0.044  0.698
O  0.218  0.953  0.431
O  0.629  0.549  0.830
O  0.361  0.068  0.165
O  0.803  0.545  0.841
O  0.697  0.545  0.341
H  0.867  0.041  0.275
P  0.161  0.935  0.275
H  0.007  0.755  0.979
O  0.718  0.746  0.015
H  0.598  0.790  0.491
P  0.839  0.065  0.725
H  0.028  0.146  0.383
H  0.051  0.724  0.580
O  0.185  0.755  0.206
O  0.013  0.257  0.438
O  0.560  0.044  0.198
O  0.871  0.549  0.330
H  0.367  0.959  0.225
O  0.306  0.064  0.645
Mg  0.464  0.249  0.200
O  0.784  0.433  0.573
P  0.787  0.567  0.434
O  0.607  0.244  0.646
O  0.987  0.743  0.562
O  0.716  0.433  0.073
O  0.282  0.254  0.985
H  0.949  0.276  0.420
H  0.993  0.245  0.021
O  0.216  0.567  0.427
O  0.194  0.064  0.145
H  0.450  0.452  0.836
O  0.718  0.047  0.069
H  0.098  0.210  0.009
O  0.068  0.567  0.295
Mg  0.536  0.751  0.800
H  0.472  0.146  0.883
O  0.545  0.758  0.554
O  0.315  0.755  0.706
O  0.303  0.455  0.659
H  0.449  0.724  0.080
O  0.218  0.254  0.485
O  0.060  0.956  0.302
O  0.639  0.932  0.835
B  0.336  0.583  0.773
O  0.932  0.433  0.705
O  0.893  0.244  0.146
O  0.455  0.242  0.446

Output
volume: 9.29 A^3/atom
raw total energy: -0.2314 Ha/atom
spin magnetization: 0.0 Bohr magnetons per cell
crystal system: monoclinic



# 6
TmCuSn: optimized geometry, PBE.

Lattice parameters (Å, degrees): 4.497 4.497 7.230 90.00 90.00 120.00
Positions (direct):
Cu  0.667  0.333  0.250
Tm  0.000  0.000  0.000
Cu  0.333  0.667  0.750
Sn  0.667  0.333  0.750
Tm  0.000  0.000  0.500
Sn  0.333  0.667  0.250

Output
volume: 21.11 A^3/atom
raw total energy: -0.1735 Ha/atom
crystal system: hexagonal



no.,formation energy (kcal/mol of atoms),mass density (g/cm3)
1,4.1,5.2
2,-13.9,9.4
3,-65.3,6.7
4,-14.7,3.0
5,-49.1,2.2
6,-12.2,9.2